VASP calculation (GGA-PBE) on a relaxed NdTl crystal.

Cell lengths 3.912, 3.912, 3.912 Å; angles 90.00, 90.00, 90.00 degrees
Element x y z (fractional)
Nd 0.000 0.000 0.000
Tl 0.500 0.500 0.500

## Properties
V = 60 Å³/cell
symmetry = Pm-3m, No. 221
DFT formation energy = -0.3917 eV per atom